1.
# LiYMo3O8

A relaxed structure of LiYMo3O8 (PBE with a Hubbard U, the Materials Project).

Structure (POSCAR):
```
LiYMo3O8
1.0
3.141 -5.440 0.000
3.141 5.440 0.000
0.000 0.000 4.963
Li O Mo Y
1 8 3 1
Cartesian
0.000 0.000 3.393 Li
3.141 -3.780 2.394 O
3.141 1.813 2.306 O
3.141 0.043 0.207 O
0.000 0.000 0.202 O
4.844 -0.830 2.394 O
4.674 2.698 0.207 O
1.608 2.698 0.207 O
1.437 -0.830 2.394 O
1.596 0.921 1.229 Mo
3.141 3.597 1.229 Mo
4.686 0.921 1.229 Mo
3.141 -1.813 3.712 Y
```

Calculated values
**DFT total energy**: -7.4121 eV/atom
**M_tot**: 6.00 μB per cell
**ΔE_f**: -2.382 eV/atom
**Crystal system**: trigonal

2.
# LiYMo2O8

A relaxed structure of LiYMo2O8 (PBE with a Hubbard U, the Materials Project).

Structure (POSCAR):
```
LiYMo2O8
1.0
-2.602 2.602 5.621
2.602 -2.602 5.621
2.602 2.602 -5.621
O Y Mo Li
8 1 2 1
Cartesian
1.805 1.284 1.813 O
1.299 0.834 -0.949 O
1.768 -1.303 6.570 O
1.318 -0.797 3.808 O
1.284 3.399 -1.813 O
1.303 1.768 4.672 O
0.834 3.905 0.949 O
0.797 1.318 7.434 O
0.000 0.000 5.621 Y
0.000 0.000 0.000 Mo
2.602 0.000 2.810 Mo
0.000 2.602 2.810 Li
```

Calculated values
**Distance to the lowest polymorph of the same formula**: 8 meV/atom
**DFT total energy**: -7.3101 eV/atom
**M_tot**: 0.00 μB per cell
**ΔE_f**: -2.498 eV/atom
**Crystal system**: tetragonal

3.
# LiYMo2O8

A relaxed structure of LiYMo2O8 (PBE with a Hubbard U, the Materials Project).

Structure (POSCAR):
```
LiYMo2O8
1.0
5.048 0.000 0.000
-2.351 6.325 0.000
-1.884 -2.192 9.473
O Li Y Mo
16 2 2 4
Cartesian
0.073 2.613 0.534 O
0.408 4.112 8.040 O
-1.672 3.051 5.663 O
0.740 1.521 8.939 O
2.937 3.401 2.235 O
0.793 2.254 6.089 O
0.300 -0.839 4.085 O
2.485 1.082 3.810 O
0.483 -0.666 6.921 O
-2.067 3.315 8.368 O
0.020 1.880 3.384 O
2.880 0.818 1.105 O
0.330 4.800 2.553 O
0.405 0.021 1.434 O
0.513 4.972 5.388 O
-2.124 0.733 7.238 O
-0.572 -1.041 9.007 Li
1.385 5.174 0.466 Li
-0.845 0.754 5.372 Y
1.658 3.379 4.102 Y
-0.692 4.348 6.637 Mo
1.505 -0.214 2.836 Mo
-1.011 2.054 1.780 Mo
1.824 2.080 7.693 Mo
```

Calculated values
**Distance to the lowest polymorph of the same formula**: 22 meV/atom
**DFT total energy**: -7.2962 eV/atom
**M_tot**: 0.00 μB per cell
**ΔE_f**: -2.484 eV/atom
**Crystal system**: triclinic

Please write out number 3 again, unchanged.
# LiYMo2O8

A relaxed structure of LiYMo2O8 (PBE with a Hubbard U, the Materials Project).

Structure (POSCAR):
```
LiYMo2O8
1.0
5.048 0.000 0.000
-2.351 6.325 0.000
-1.884 -2.192 9.473
O Li Y Mo
16 2 2 4
Cartesian
0.073 2.613 0.534 O
0.408 4.112 8.040 O
-1.672 3.051 5.663 O
0.740 1.521 8.939 O
2.937 3.401 2.235 O
0.793 2.254 6.089 O
0.300 -0.839 4.085 O
2.485 1.082 3.810 O
0.483 -0.666 6.921 O
-2.067 3.315 8.368 O
0.020 1.880 3.384 O
2.880 0.818 1.105 O
0.330 4.800 2.553 O
0.405 0.021 1.434 O
0.513 4.972 5.388 O
-2.124 0.733 7.238 O
-0.572 -1.041 9.007 Li
1.385 5.174 0.466 Li
-0.845 0.754 5.372 Y
1.658 3.379 4.102 Y
-0.692 4.348 6.637 Mo
1.505 -0.214 2.836 Mo
-1.011 2.054 1.780 Mo
1.824 2.080 7.693 Mo
```

Calculated values
**Distance to the lowest polymorph of the same formula**: 22 meV/atom
**DFT total energy**: -7.2962 eV/atom
**M_tot**: 0.00 μB per cell
**ΔE_f**: -2.484 eV/atom
**Crystal system**: triclinic